VASP calculation (PBE with a Hubbard U) on Sr2CoO4 after structural relaxation.

Size of the total moment   0.00 μB/cell
Offset from the most stable computed form   4 meV per atom
Total energy   -6.048 eV per atom

abc: 5.518 6.798 10.346
angles: 102.86 90.06 90.00
Space group P1 (No. 1)
Inequivalent atoms, fractional coordinates:
Sr 0.000 0.000 0.000 (multiplicity 1)
Sr 0.001 0.422 0.860 (multiplicity 1)
Sr 0.005 0.929 0.363 (multiplicity 1)
Sr 0.007 0.502 0.506 (multiplicity 1)
Sr 0.499 0.678 0.115 (multiplicity 1)
Sr 0.500 0.256 0.256 (multiplicity 1)
Sr 0.506 0.749 0.752 (multiplicity 1)
Sr 0.508 0.175 0.609 (multiplicity 1)
Co 0.005 0.462 0.181 (multiplicity 1)
Co 0.005 0.965 0.684 (multiplicity 1)
Co 0.504 0.713 0.431 (multiplicity 1)
Co 0.505 0.215 0.934 (multiplicity 1)
O 0.005 0.723 0.764 (multiplicity 1)
O 0.006 0.202 0.602 (multiplicity 1)
O 0.240 0.077 0.796 (multiplicity 1)
O 0.240 0.587 0.302 (multiplicity 1)
O 0.252 0.334 0.053 (multiplicity 1)
O 0.279 0.831 0.550 (multiplicity 1)
O 0.495 0.984 0.010 (multiplicity 1)
O 0.496 0.444 0.858 (multiplicity 1)
O 0.503 0.955 0.352 (multiplicity 1)
O 0.505 0.476 0.514 (multiplicity 1)
O 0.737 0.601 0.318 (multiplicity 1)
O 0.742 0.092 0.813 (multiplicity 1)
O 0.752 0.344 0.063 (multiplicity 1)
O 0.780 0.847 0.566 (multiplicity 1)
O 0.995 0.234 0.257 (multiplicity 1)
O 0.995 0.695 0.106 (multiplicity 1)